Record 1
This record from the Materials Project database describes CaSnS3 after structural relaxation. The functional is PBE.

## Properties
Total moment ... 0.0 μB/f.u.

abc: 10.0242 5.0238 10.0171
angles: 89.17 90.00 90.00
Element x y z (fractional)
1 Ca 0.5000 0.0965 0.0158
2 Ca 0.0000 0.1111 0.9851
3 Ca 0.5000 0.1019 0.5403
4 Ca 0.0000 0.0620 0.4049
5 Sn 0.7525 0.5114 0.7392
6 Sn 0.7422 0.4988 0.2582
7 Sn 0.2475 0.5114 0.7392
8 Sn 0.2578 0.4988 0.2582
9 S 0.7330 0.4437 0.9991
10 S 0.2670 0.4437 0.9991
11 S 0.7611 0.3060 0.4990
12 S 0.2389 0.3060 0.4990
13 S 0.7353 0.9987 0.8205
14 S 0.7663 0.9883 0.1898
15 S 0.2647 0.9987 0.8205
16 S 0.2337 0.9883 0.1898
17 S 0.5000 0.5728 0.6733
18 S 0.0000 0.5415 0.2706
19 S 0.5000 0.3584 0.2733
20 S 0.0000 0.3985 0.7463


Record 2
This record from the Materials Project database describes CaSnS3 after structural relaxation. The functional is PBE.

## Properties
Total moment ... 0.0 μB/f.u.

abc: 9.0644 9.0644 9.0644
angles: 60.00 60.00 60.00
Element x y z (fractional)
1 Ca 0.6250 0.1250 0.1250
2 Ca 0.1250 0.6250 0.1250
3 Ca 0.1250 0.1250 0.6250
4 Ca 0.1250 0.1250 0.1250
5 Sn 0.1250 0.6250 0.6250
6 Sn 0.6250 0.1250 0.6250
7 Sn 0.6250 0.6250 0.1250
8 Sn 0.6250 0.6250 0.6250
9 S 0.9713 0.9713 0.5287
10 S 0.5287 0.5287 0.9713
11 S 0.9713 0.5287 0.9713
12 S 0.5287 0.9713 0.5287
13 S 0.5287 0.9713 0.9713
14 S 0.9713 0.5287 0.5287
15 S 0.2787 0.2787 0.7213
16 S 0.7213 0.7213 0.2787
17 S 0.2787 0.7213 0.2787
18 S 0.7213 0.2787 0.7213
19 S 0.7213 0.2787 0.2787
20 S 0.2787 0.7213 0.7213


| no. | ΔE to the lowest computed polymorph (eV/atom) | E_form (eV/atom) |
| --- | --- | --- |
| 1 | 0.235 | -1.086 |
| 2 | 0.251 | -1.070 |